Entry from the Materials Project database: a geometry-optimized ThRh2 structure (GGA-PBE).

The structure in CIF format:
```
data_ThRh2
_symmetry_space_group_name_H-M 'P 63/m m c'
_symmetry_Int_Tables_number 194
_symmetry_space_group_name_Hall '-P 6c 2c'
_cell_length_a 4.7527
_cell_length_b 4.7527
_cell_length_c 5.9628
_cell_angle_alpha 90.00
_cell_angle_beta 90.00
_cell_angle_gamma 120.00
loop_
_atom_site_label
_atom_site_fract_x
_atom_site_fract_y
_atom_site_fract_z
Th1 0.3333 0.6667 0.2500
Rh1 0.0000 0.0000 0.0000
Rh2 0.3333 0.6667 0.7500
```

## Properties
DFT formation energy   -0.821 eV per atom
ρ   12.47 g/cm3